# 1
Compound: Rb3NaV4H2O13
Source: the Materials Project database
Functional: GGA+U
Structure: relaxed

```
Rb3NaV4H2O13
1.0
11.4123 0.0000 0.0000
0.0000 8.4449 0.0000
0.0000 0.0000 16.0862
Rb Na V H O
12 4 16 8 52
direct
0.0148 0.2500 0.1211 Rb
0.0189 0.7500 0.1963 Rb
0.0261 0.7500 0.6017 Rb
0.4739 0.2500 0.1017 Rb
0.4811 0.2500 0.6963 Rb
0.4852 0.7500 0.6211 Rb
0.5148 0.2500 0.3789 Rb
0.5189 0.7500 0.3037 Rb
0.5261 0.7500 0.8983 Rb
0.9739 0.2500 0.3983 Rb
0.9811 0.2500 0.8037 Rb
0.9852 0.7500 0.8789 Rb
0.1841 0.2500 0.5845 Na
0.3159 0.7500 0.0845 Na
0.6841 0.2500 0.9155 Na
0.8159 0.7500 0.4155 Na
0.2149 0.0400 0.9735 V
0.2149 0.4600 0.9735 V
0.2421 0.5498 0.7677 V
0.2421 0.9502 0.7677 V
0.2579 0.0498 0.2677 V
0.2579 0.4502 0.2677 V
0.2851 0.5400 0.4735 V
0.2851 0.9600 0.4735 V
0.7149 0.0400 0.5265 V
0.7149 0.4600 0.5265 V
0.7421 0.5498 0.7323 V
0.7421 0.9502 0.7323 V
0.7579 0.0498 0.2323 V
0.7579 0.4502 0.2323 V
0.7851 0.5400 0.0265 V
0.7851 0.9600 0.0265 V
0.0661 0.6565 0.4147 H
0.0661 0.8435 0.4147 H
0.4339 0.1565 0.9147 H
0.4339 0.3435 0.9147 H
0.5661 0.6565 0.0853 H
0.5661 0.8435 0.0853 H
0.9339 0.1565 0.5853 H
0.9339 0.3435 0.5853 H
0.0249 0.7500 0.3933 O
0.1110 0.0474 0.2723 O
0.1110 0.4526 0.2723 O
0.1282 0.5652 0.0358 O
0.1282 0.9348 0.0358 O
0.1455 0.0218 0.4849 O
0.1455 0.4782 0.4849 O
0.1699 0.0099 0.8656 O
0.1699 0.4901 0.8656 O
0.1903 0.7500 0.7435 O
0.1959 0.0697 0.6925 O
0.1959 0.4303 0.6925 O
0.2038 0.2500 0.0010 O
0.2962 0.7500 0.5010 O
0.3041 0.5697 0.1925 O
0.3041 0.9303 0.1925 O
0.3097 0.2500 0.2435 O
0.3301 0.5099 0.3656 O
0.3301 0.9901 0.3656 O
0.3545 0.5218 0.9849 O
0.3545 0.9782 0.9849 O
0.3718 0.0652 0.5358 O
0.3718 0.4348 0.5358 O
0.3890 0.5474 0.7723 O
0.3890 0.9526 0.7723 O
0.4751 0.2500 0.8933 O
0.5249 0.7500 0.1067 O
0.6110 0.0474 0.2277 O
0.6110 0.4526 0.2277 O
0.6282 0.5652 0.4642 O
0.6282 0.9348 0.4642 O
0.6455 0.0218 0.0151 O
0.6455 0.4782 0.0151 O
0.6699 0.0099 0.6344 O
0.6699 0.4901 0.6344 O
0.6903 0.7500 0.7565 O
0.6959 0.0697 0.8075 O
0.6959 0.4303 0.8075 O
0.7038 0.2500 0.4990 O
0.7962 0.7500 0.9990 O
0.8041 0.5697 0.3075 O
0.8041 0.9303 0.3075 O
0.8097 0.2500 0.2565 O
0.8301 0.5099 0.1344 O
0.8301 0.9901 0.1344 O
0.8545 0.5218 0.5151 O
0.8545 0.9782 0.5151 O
0.8718 0.0652 0.9642 O
0.8718 0.4348 0.9642 O
0.8890 0.5474 0.7277 O
0.8890 0.9526 0.7277 O
0.9751 0.2500 0.6067 O
```

Output
Total magnetic moment = 0.0000 μB/atom
Space group = No. 62
Formation energy from the elements = -2.246 eV/atom

---

# 2
Compound: MgMn2O4
Source: the Materials Project database
Functional: GGA+U
Structure: relaxed

```
MgMn2O4
1.0
7.7796 -1.4355 0.0000
7.7796 1.4355 0.0000
-5.7534 0.0000 7.6710
Mg Mn O
2 4 8
direct
0.1928 0.1928 0.1709 Mg
0.8072 0.8072 0.8291 Mg
0.1116 0.1116 0.8152 Mn
0.3496 0.3496 0.5183 Mn
0.6504 0.6504 0.4817 Mn
0.8884 0.8884 0.1848 Mn
0.0547 0.0547 0.3464 O
0.2632 0.2632 0.6401 O
0.3569 0.3569 0.2815 O
0.3653 0.3653 0.0170 O
0.6347 0.6347 0.9830 O
0.6431 0.6431 0.7185 O
0.7368 0.7368 0.3599 O
0.9453 0.9453 0.6536 O
```

Output
Total magnetic moment = 1.1431 μB/atom
Offset from the most stable computed form = 0.97 eV per formula unit
Space group = No. 12
Formation energy from the elements = -2.203 eV/atom

---

# 3
Compound: Ba3MgNb2CoO9
Source: the Materials Project database
Functional: GGA+U
Structure: relaxed

```
Ba3MgNb2CoO9
1.0
5.4382 -2.8750 0.0000
5.4382 2.8750 0.0000
-2.2932 0.0000 7.6028
Ba Mg Nb Co O
3 1 2 1 9
direct
0.0000 0.0000 0.0000 Ba
0.2753 0.2753 0.6928 Ba
0.7247 0.7247 0.3072 Ba
0.5000 0.5000 0.5000 Mg
0.3697 0.3697 0.1552 Nb
0.6303 0.6303 0.8448 Nb
0.0000 0.0000 0.5000 Co
0.0000 0.5000 0.0000 O
0.2452 0.7349 0.3058 O
0.2651 0.7548 0.6942 O
0.2877 0.2877 0.3486 O
0.5000 0.0000 0.0000 O
0.5000 0.5000 0.0000 O
0.7123 0.7123 0.6514 O
0.7349 0.2452 0.3058 O
0.7548 0.2651 0.6942 O
```

Output
Total magnetic moment = 0.0656 μB/atom
Offset from the most stable computed form = 0.63 eV per formula unit
Space group = No. 12
Formation energy from the elements = -2.744 eV/atom

---

# 4
Compound: Li7Co5O12
Source: the Materials Project database
Functional: GGA+U
Structure: relaxed

```
Li7Co5O12
1.0
2.9907 0.0000 0.0000
0.1774 5.9633 0.0000
0.0939 2.7854 11.9533
Li Co O
7 5 12
direct
0.0000 0.0000 0.0000 Li
0.0000 0.5000 0.0000 Li
0.0013 0.1649 0.6678 Li
0.4990 0.6758 0.1621 Li
0.5000 0.0000 0.5000 Li
0.5010 0.3242 0.8379 Li
0.9987 0.8351 0.3322 Li
0.9999 0.3335 0.3311 Co
0.0001 0.6665 0.6689 Co
0.4981 0.8414 0.8397 Co
0.5000 0.5000 0.5000 Co
0.5019 0.1586 0.1603 Co
0.0051 0.2601 0.4931 O
0.0280 0.0637 0.8334 O
0.0345 0.4011 0.1723 O
0.4959 0.8992 0.6796 O
0.4985 0.7551 0.9843 O
0.5004 0.4307 0.6602 O
0.4996 0.5693 0.3398 O
0.5015 0.2449 0.0157 O
0.5041 0.1008 0.3204 O
0.9655 0.5989 0.8277 O
0.9720 0.9363 0.1666 O
0.9949 0.7399 0.5069 O
```

Output
Total magnetic moment = 0.0725 μB/atom
Offset from the most stable computed form = 2.33 eV per formula unit
Space group = No. 2
Formation energy from the elements = -1.666 eV/atom

---

# 5
Compound: Ba2Mn3Tl2Zn2O10
Source: the Materials Project database
Functional: GGA+U
Structure: relaxed

```
Ba2Mn3Tl2Zn2O10
1.0
3.6399 0.0000 0.0000
0.0028 4.0109 0.0000
0.9513 1.9783 19.5497
Ba Mn Tl Zn O
2 3 2 2 10
direct
0.0000 0.0000 0.0000 Ba
0.3199 0.2994 0.3973 Ba
0.4316 0.6459 0.7010 Mn
0.5387 0.5639 0.8666 Mn
0.8220 0.7329 0.5279 Mn
0.3982 0.4317 0.1412 Tl
0.8940 0.8724 0.2620 Tl
0.0101 0.1035 0.7861 Zn
0.2923 0.1989 0.5963 Zn
0.0200 0.9333 0.1432 O
0.0302 0.5463 0.9028 O
0.3155 0.7017 0.5902 O
0.3944 0.1476 0.6974 O
0.4553 0.3850 0.2482 O
0.4970 0.4841 0.0348 O
0.5182 0.0728 0.8487 O
0.8031 0.7832 0.4273 O
0.8321 0.2296 0.5351 O
0.9035 0.6176 0.7576 O
```

Output
Total magnetic moment = 0.6794 μB/atom
Offset from the most stable computed form = 0.00 eV per formula unit
Space group = No. 1
Formation energy from the elements = -1.852 eV/atom

---

# 6
Compound: Mn3O2F4
Source: the Materials Project database
Functional: GGA+U
Structure: relaxed

```
Mn3O2F4
1.0
4.8960 0.0000 0.0000
0.0000 4.8960 0.0000
0.0000 0.0000 9.3592
Mn O F
6 4 8
direct
0.0000 0.0000 0.0000 Mn
0.0000 0.0000 0.3008 Mn
0.0000 0.0000 0.6490 Mn
0.5000 0.5000 0.1490 Mn
0.5000 0.5000 0.5000 Mn
0.5000 0.5000 0.8008 Mn
0.1830 0.1830 0.1501 O
0.3170 0.6830 0.6501 O
0.6830 0.3170 0.6501 O
0.8170 0.8170 0.1501 O
0.1857 0.1857 0.8371 F
0.1868 0.1868 0.4650 F
0.3132 0.6868 0.9650 F
0.3143 0.6857 0.3371 F
0.6857 0.3143 0.3371 F
0.6868 0.3132 0.9650 F
0.8132 0.8132 0.4650 F
0.8143 0.8143 0.8371 F
```

Output
Total magnetic moment = 0.0000 μB/atom
Offset from the most stable computed form = 0.00 eV per formula unit
Space group = No. 102
Formation energy from the elements = -2.541 eV/atom

---

# 7
Compound: SrMo2P4O16
Source: the Materials Project database
Functional: GGA+U
Structure: relaxed

```
SrMo2P4O16
1.0
8.0440 0.0000 0.0000
0.0000 7.8701 0.0000
-7.8612 0.0000 9.6957
Sr Mo P O
2 4 8 32
direct
0.0000 0.0000 0.0000 Sr
0.0000 0.5000 0.5000 Sr
0.3879 0.2202 0.8360 Mo
0.3879 0.2798 0.3360 Mo
0.6121 0.7202 0.6640 Mo
0.6121 0.7798 0.1640 Mo
0.0368 0.6152 0.2118 P
0.0368 0.8848 0.7118 P
0.3453 0.0986 0.5634 P
0.3453 0.4014 0.0634 P
0.6547 0.5986 0.9366 P
0.6547 0.9014 0.4366 P
0.9632 0.1152 0.2882 P
0.9632 0.3848 0.7882 P
0.0831 0.1496 0.2299 O
0.0831 0.3504 0.7299 O
0.0970 0.7310 0.6729 O
0.0970 0.7690 0.1729 O
0.1374 0.0060 0.4322 O
0.1374 0.4940 0.9322 O
0.2174 0.0116 0.8086 O
0.2174 0.4884 0.3086 O
0.2790 0.2055 0.6350 O
0.2790 0.2945 0.1350 O
0.3693 0.6215 0.5848 O
0.3693 0.8785 0.0848 O
0.4280 0.2201 0.5104 O
0.4280 0.2799 0.0104 O
0.4975 0.0397 0.3401 O
0.4975 0.4603 0.8401 O
0.5025 0.5397 0.1599 O
0.5025 0.9603 0.6599 O
0.5720 0.7201 0.9896 O
0.5720 0.7799 0.4896 O
0.6307 0.1215 0.9152 O
0.6307 0.3785 0.4152 O
0.7210 0.7055 0.8650 O
0.7210 0.7945 0.3650 O
0.7826 0.5116 0.6914 O
0.7826 0.9884 0.1914 O
0.8626 0.5060 0.0678 O
0.8626 0.9940 0.5678 O
0.9030 0.2310 0.8271 O
0.9030 0.2690 0.3271 O
0.9169 0.6496 0.2701 O
0.9169 0.8504 0.7701 O
```

Output
Total magnetic moment = 0.0870 μB/atom
Space group = No. 14
Formation energy from the elements = -2.608 eV/atom

---

# 8
Compound: Li4VCr3O8
Source: the Materials Project database
Functional: GGA+U
Structure: relaxed

```
Li4VCr3O8
1.0
5.1775 -2.9647 0.0000
5.1775 2.9647 0.0000
-1.7267 0.0000 4.8480
Li V Cr O
4 1 3 8
direct
0.0000 0.5000 0.0000 Li
0.2484 0.2484 0.4932 Li
0.5000 0.0000 0.0000 Li
0.7516 0.7516 0.5068 Li
0.5000 0.5000 0.0000 V
0.0000 0.0000 0.0000 Cr
0.2512 0.7488 0.5000 Cr
0.7488 0.2512 0.5000 Cr
0.1116 0.1116 0.7425 O
0.1349 0.6383 0.7561 O
0.3617 0.8651 0.2439 O
0.3849 0.3849 0.2614 O
0.6151 0.6151 0.7386 O
0.6383 0.1349 0.7561 O
0.8651 0.3617 0.2439 O
0.8884 0.8884 0.2575 O
```

Output
Total magnetic moment = 0.4375 μB/atom
Offset from the most stable computed form = 0.00 eV per formula unit
Space group = No. 12
Formation energy from the elements = -2.426 eV/atom

---

# 9
Compound: Ba2Co2O5
Source: the Materials Project database
Functional: GGA+U
Structure: relaxed

```
Ba2Co2O5
1.0
5.6128 0.0000 0.0000
-0.0603 5.6770 0.0000
-2.7761 -2.8381 8.7974
Ba Co O
4 4 10
direct
0.0000 0.0000 0.0000 Ba
0.2219 0.2265 0.4456 Ba
0.4985 0.5030 0.9988 Ba
0.7224 0.7222 0.4446 Ba
0.1100 0.6122 0.2189 Co
0.3945 0.9315 0.7221 Co
0.6133 0.1156 0.2256 Co
0.8847 0.2914 0.7222 Co
0.2163 0.2060 0.7223 O
0.2632 0.7540 0.5303 O
0.3629 0.3642 0.2208 O
0.3642 0.8640 0.2214 O
0.4549 0.9458 0.9139 O
0.7227 0.9902 0.7223 O
0.7528 0.2916 0.5289 O
0.8631 0.8671 0.2238 O
0.8637 0.3631 0.2230 O
0.9466 0.4847 0.9161 O
```

Output
Total magnetic moment = 0.7512 μB/atom
Space group = No. 1
Formation energy from the elements = -2.024 eV/atom

---

# 10
Compound: Li9Mn2Co5O16
Source: the Materials Project database
Functional: GGA+U
Structure: relaxed

```
Li9Mn2Co5O16
1.0
5.1556 -5.7407 0.0000
5.1556 5.7407 0.0000
-3.2457 0.0000 4.8446
Li Mn Co O
9 2 5 16
direct
0.0000 0.0000 0.0000 Li
0.0010 0.0010 0.4961 Li
0.1190 0.3679 0.9866 Li
0.2556 0.7560 0.0011 Li
0.3679 0.1190 0.9866 Li
0.5076 0.5076 0.0091 Li
0.6426 0.8865 0.0195 Li
0.7560 0.2556 0.0011 Li
0.8865 0.6426 0.0195 Li
0.1222 0.3726 0.4941 Mn
0.3726 0.1222 0.4941 Mn
0.2522 0.7553 0.5009 Co
0.5062 0.5062 0.5076 Co
0.6407 0.8887 0.5117 Co
0.7553 0.2522 0.5009 Co
0.8887 0.6407 0.5117 Co
0.0049 0.4933 0.2607 O
0.0189 0.4996 0.7423 O
0.1265 0.8549 0.7160 O
0.1571 0.8906 0.2832 O
0.2411 0.2411 0.2574 O
0.2563 0.2563 0.7267 O
0.3591 0.6018 0.7048 O
0.3981 0.6463 0.3038 O
0.4933 0.0049 0.2607 O
0.4996 0.0189 0.7423 O
0.6018 0.3591 0.7048 O
0.6463 0.3981 0.3038 O
0.7478 0.7478 0.2609 O
0.7657 0.7657 0.7560 O
0.8549 0.1265 0.7160 O
0.8906 0.1571 0.2832 O
```

Output
Total magnetic moment = 0.3750 μB/atom
Offset from the most stable computed form = 0.69 eV per formula unit
Space group = No. 8
Formation energy from the elements = -1.843 eV/atom

---

# 11
Compound: Li3Co2Si2O8
Source: the Materials Project database
Functional: GGA+U
Structure: relaxed

```
Li3Co2Si2O8
1.0
5.0531 0.0000 0.0000
0.0000 6.4308 0.0000
-0.0891 0.0000 10.5938
Li Co Si O
6 4 4 16
direct
0.0000 0.0080 0.0000 Li
0.0000 0.9920 0.5000 Li
0.0062 0.2515 0.2367 Li
0.0062 0.7485 0.7367 Li
0.5062 0.2588 0.9184 Li
0.5062 0.7412 0.4184 Li
0.0176 0.2662 0.7425 Co
0.0176 0.7338 0.2425 Co
0.4998 0.2441 0.4095 Co
0.4998 0.7559 0.9095 Co
0.0095 0.4945 0.4879 Si
0.0095 0.5055 0.9879 Si
0.5111 0.0123 0.6691 Si
0.5111 0.9877 0.1691 Si
0.3319 0.4864 0.4619 O
0.3319 0.5136 0.9619 O
0.3914 0.2108 0.7456 O
0.3914 0.7892 0.2456 O
0.4010 0.1999 0.2405 O
0.4010 0.8001 0.7405 O
0.4074 0.0082 0.5195 O
0.4074 0.9918 0.0195 O
0.8385 0.0166 0.6732 O
0.8385 0.9834 0.1732 O
0.8835 0.2804 0.4200 O
0.8835 0.7196 0.9200 O
0.9002 0.2883 0.9198 O
0.9002 0.7117 0.4198 O
0.9456 0.5005 0.1371 O
0.9456 0.4995 0.6371 O
```

Output
Total magnetic moment = 0.4667 μB/atom
Offset from the most stable computed form = 0.09 eV per formula unit
Space group = No. 7
Formation energy from the elements = -2.404 eV/atom

---

# 12
Compound: MgCrCo5O12
Source: the Materials Project database
Functional: GGA+U
Structure: relaxed

```
MgCrCo5O12
1.0
4.9396 0.0000 0.0000
2.4685 4.2788 0.0000
0.7088 1.1572 9.9022
Mg Cr Co O
1 1 5 12
direct
0.0000 0.0000 0.0000 Mg
0.6602 0.0724 0.7454 Cr
0.0005 0.9269 0.2594 Co
0.3308 0.7363 0.7489 Co
0.3338 0.2639 0.2466 Co
0.6671 0.5971 0.2466 Co
0.9955 0.4063 0.7491 Co
0.9996 0.5583 0.3432 O
0.0014 0.2780 0.1493 O
0.0067 0.7131 0.8549 O
0.0140 0.0975 0.6525 O
0.3102 0.0425 0.8549 O
0.3124 0.4464 0.6529 O
0.3227 0.6354 0.1492 O
0.3458 0.9044 0.3431 O
0.6536 0.2504 0.3434 O
0.6617 0.7480 0.6529 O
0.6771 0.3726 0.8552 O
0.6800 0.9569 0.1488 O
```

Output
Total magnetic moment = 0.3684 μB/atom
Offset from the most stable computed form = 0.00 eV per formula unit
Space group = No. 1
Formation energy from the elements = -1.423 eV/atom

---

> Number 12 is which compound?

MgCrCo5O12